Entry from the Materials Project: crystalline Ba3NaIr2O9 at its relaxed geometry (GGA-PBE).

Output
Crystal system: hexagonal
Magnetic moment, μB/f.u.: 1.56
Calculated density, Mg/m³: 7.1
Formation energy, eV/atom: -2.15

Unit cell a=5.9624 b=5.9624 c=14.6082 alpha=90.00 beta=90.00 gamma=120.00
Space group P6_3/mmc (No. 194)
Inequivalent atoms, fractional coordinates:
Ba 0.0000 0.0000 0.2500 [2 per cell]
Ba 0.3333 0.6667 0.0839 [4 per cell]
Na 0.0000 0.0000 0.0000 [2 per cell]
Ir 0.3333 0.6667 0.6625 [4 per cell]
O 0.0205 0.5103 0.7500 [6 per cell]
O 0.1798 0.3595 0.5892 [12 per cell]